1.
24
Lattice="5.632 0.000 0.000 -2.816 4.878 0.000 0.000 0.000 8.942" Properties=species:S:1:pos:R:3 comment="TiCo3O8 (PBE+U, optimized geometry)" space_group="No. 186" m_tot_mub_per_fu=3.00 dft_energy_ev_per_cell=-155.781 pbc="T T T"
Ti 0.000 3.252 0.000
Ti 2.816 1.626 4.471
Co 0.000 1.637 6.410
Co -1.398 4.059 6.410
Co 1.418 0.819 1.939
Co 1.398 4.059 6.410
Co 4.214 0.819 1.939
Co 2.816 3.240 1.939
O 0.000 0.000 2.902
O 0.000 0.000 7.374
O -1.244 2.533 7.460
O 0.000 1.595 0.954
O -1.435 4.080 0.954
O 1.381 0.797 5.426
O 0.000 3.252 5.421
O 1.244 2.533 7.460
O 0.000 4.688 7.460
O 2.816 0.189 2.989
O 1.572 2.344 2.989
O 2.816 1.626 0.950
O 1.435 4.080 0.954
O 4.251 0.797 5.426
O 2.816 3.283 5.426
O 4.060 2.344 2.989

---

2.
36
Lattice="4.955 0.000 0.000 2.476 4.293 0.000 0.092 0.027 21.054" Properties=species:S:1:pos:R:3 comment="TiCo5O12 (PBE+U, optimized geometry)" space_group="No. 1" m_tot_mub_per_fu=1.31 dft_energy_ev_per_cell=-222.566 pbc="T T T"
Ti 0.000 0.000 0.000
Ti 2.521 4.306 10.466
Co 2.498 2.868 5.136
Co 2.544 2.881 15.655
Co 2.523 1.443 10.474
Co 2.571 1.455 21.033
Co 4.976 4.299 5.136
Co 5.022 4.312 15.654
Co 5.043 2.890 21.033
Co 5.000 2.875 10.474
Co 4.977 1.437 5.136
Co 5.023 1.450 15.655
O 5.810 1.479 0.958
O 5.855 1.493 11.448
O 1.714 2.842 20.065
O 1.667 2.824 9.496
O 1.674 1.434 6.062
O 1.721 1.452 16.586
O 0.892 0.020 14.724
O 0.849 0.007 4.208
O 3.377 2.826 11.448
O 1.756 0.013 9.495
O 3.338 2.813 0.959
O 4.276 4.313 20.060
O 4.152 2.871 6.061
O 4.198 2.882 16.584
O 3.324 1.434 4.212
O 3.370 1.448 14.724
O 3.242 0.005 0.961
O 4.185 1.501 20.061
O 5.768 4.305 11.449
O 4.145 1.493 9.496
O 6.673 4.313 16.587
O 6.626 4.298 6.063
O 5.802 2.870 4.210
O 5.850 2.881 14.724

---

3.
88
Lattice="6.638 0.000 0.000 0.000 14.205 0.000 -3.161 0.000 11.413" Properties=species:S:1:pos:R:3 comment="Ti2ZnCoO7 (PBE+U, optimized geometry)" space_group="No. 14" m_tot_mub_per_fu=2.00 dft_energy_ev_per_cell=-623.253 pbc="T T T"
Ti -0.874 3.007 3.461
Ti -2.455 4.095 9.168
Ti -0.532 0.180 3.607
Ti -2.113 6.923 9.313
Ti -0.836 1.628 11.303
Ti 0.745 5.475 5.596
Ti -0.604 9.201 11.114
Ti 0.977 12.107 5.408
Ti 2.500 2.098 6.005
Ti 4.081 5.005 0.299
Ti 2.732 8.731 5.817
Ti 4.313 12.577 0.111
Ti 5.590 7.282 2.100
Ti 4.009 14.026 7.806
Ti 5.932 10.110 2.245
Ti 4.352 11.198 7.952
Zn -0.562 8.662 6.602
Zn 1.018 12.646 0.896
Zn 2.307 7.315 2.695
Zn 0.726 13.993 8.401
Zn 2.751 0.212 3.012
Zn 1.171 6.891 8.719
Zn 2.459 1.559 10.517
Zn 4.039 5.543 4.811
Co -0.926 2.386 6.666
Co 0.655 4.717 0.959
Co 2.454 3.329 2.913
Co 0.873 3.774 8.620
Co 2.604 10.432 2.793
Co 1.023 10.876 8.500
Co 2.822 9.489 10.454
Co 4.403 11.820 4.748
O -0.584 8.653 3.299
O -2.165 12.655 9.005
O -0.737 1.775 4.839
O -2.318 5.328 10.545
O -2.368 2.527 10.758
O -0.788 4.576 5.051
O -2.087 10.086 10.555
O -0.507 11.222 4.848
O -0.984 0.689 7.775
O 0.597 6.414 2.069
O -0.863 3.501 8.371
O 0.718 3.602 2.665
O -0.673 7.579 8.326
O 0.908 13.729 2.619
O -0.614 10.429 8.189
O 0.966 10.879 2.482
O 0.314 7.189 5.545
O -1.266 14.119 11.251
O -1.094 7.529 10.877
O 0.487 13.779 5.171
O 0.929 2.626 6.960
O 2.509 4.477 1.253
O 2.770 9.082 1.551
O 1.189 12.227 7.258
O 2.729 1.864 1.744
O 1.148 5.239 7.451
O 1.317 9.437 6.895
O 2.897 11.871 1.189
O 0.580 2.334 10.224
O 2.161 4.768 4.518
O 2.329 8.967 3.962
O 0.748 12.341 9.669
O 2.288 1.979 4.156
O 0.707 5.124 9.862
O 0.968 9.728 10.160
O 2.548 11.580 4.454
O 2.990 0.426 6.243
O 4.571 6.676 0.536
O 4.743 0.086 0.162
O 3.163 7.016 5.868
O 2.511 3.326 8.931
O 4.091 3.776 3.225
O 2.569 0.476 8.794
O 4.150 6.627 3.087
O 2.759 10.603 8.748
O 4.340 10.705 3.042
O 2.880 7.792 9.345
O 4.461 13.517 3.638
O 3.984 2.984 6.565
O 5.564 4.119 0.858
O 4.265 9.629 6.362
O 5.845 11.679 0.655
O 5.795 8.878 0.868
O 4.215 12.430 6.575
O 5.642 1.551 2.408
O 4.061 5.552 8.114

---

4.
12
Lattice="-3.298 3.500 3.292 3.298 -3.500 3.292 3.298 3.500 -3.292" Properties=species:S:1:pos:R:3 comment="UCoO4 (PBE+U, optimized geometry)" space_group="No. 74" m_tot_mub_per_fu=1.00 dft_energy_ev_per_cell=-100.050 pbc="T T T"
U 0.000 1.750 0.153
U 3.298 1.750 3.140
Co 3.298 0.000 0.000
Co 0.000 0.000 3.292
O 3.298 3.381 -2.014
O 1.972 1.750 0.147
O 4.624 1.750 0.147
O 3.298 -0.119 2.014
O 0.000 3.619 1.278
O -1.326 1.750 3.146
O 1.326 1.750 3.146
O 0.000 0.119 5.307

---

5.
27
Lattice="9.121 0.000 0.000 -4.561 7.899 0.000 0.000 0.000 5.054" Properties=species:S:1:pos:R:3 comment="U2CoO6 (PBE+U, optimized geometry)" space_group="No. 150" m_tot_mub_per_fu=3.66 dft_energy_ev_per_cell=-245.808 pbc="T T T"
U -1.463 2.534 0.000
U -2.982 5.165 2.527
U 2.926 0.000 0.000
U 1.579 2.735 2.527
U 5.963 0.000 2.527
U 3.098 5.366 0.000
Co 0.000 0.000 2.527
Co 0.000 5.266 0.022
Co 4.561 2.633 5.031
O -1.522 4.320 1.217
O -3.028 6.957 1.360
O 0.050 1.799 1.360
O -1.567 6.137 3.881
O 0.029 3.474 3.881
O 1.533 0.943 3.694
O 2.994 1.762 1.173
O -0.059 7.058 1.217
O 1.581 4.421 1.217
O 4.502 0.842 3.836
O 3.038 3.580 3.836
O 1.537 6.188 3.881
O 2.978 7.044 1.360
O 6.098 1.712 1.173
O 4.590 4.425 1.173
O 7.539 0.856 3.694
O 4.611 6.101 3.694
O 6.142 3.478 3.836

---

6.
18
Lattice="5.151 0.000 0.000 2.438 4.713 0.000 0.239 2.184 8.427" Properties=species:S:1:pos:R:3 comment="V2CoO6 (PBE+U, optimized geometry)" space_group="No. 1" m_tot_mub_per_fu=0.00 dft_energy_ev_per_cell=-128.160 pbc="T T T"
V 0.000 0.000 0.000
V 2.613 3.978 6.360
V 5.134 5.802 4.211
V 5.071 2.884 2.154
Co 2.597 1.906 0.985
Co 5.293 2.989 5.208
O 1.783 2.939 8.091
O 1.780 1.538 2.830
O 3.172 5.104 7.664
O 2.058 2.250 5.446
O 3.618 3.626 1.684
O 3.721 4.436 5.107
O 4.240 1.849 3.875
O 4.473 2.641 7.047
O 5.634 4.007 3.458
O 4.511 1.157 1.236
O 6.305 4.720 5.898
O 6.186 3.342 0.903

---

7.
27
Lattice="4.874 0.000 0.000 -0.538 7.274 0.000 -0.006 -1.889 8.775" Properties=species:S:1:pos:R:3 comment="V2CoO6 (PBE+U, optimized geometry)" space_group="No. 2" m_tot_mub_per_fu=3.00 dft_energy_ev_per_cell=-194.223 pbc="T T T"
V 0.059 2.035 0.287
V 0.070 1.352 3.437
V 1.640 1.655 6.463
V 2.691 3.730 2.312
V 4.261 4.033 5.337
V 4.272 3.350 8.488
Co 1.863 5.609 7.315
Co 2.434 -0.944 4.387
Co 2.468 -0.224 1.460
O 0.239 4.215 7.018
O 0.333 5.840 0.939
O 0.332 5.095 4.483
O 0.731 2.346 5.068
O 0.728 1.734 8.019
O 1.165 2.958 2.158
O 1.509 0.418 3.150
O 1.515 1.081 0.165
O 1.829 -0.019 6.133
O 2.502 5.404 2.642
O 2.816 4.304 8.610
O 2.822 4.967 5.624
O 3.166 2.427 6.616
O 3.603 3.651 0.755
O 3.600 3.039 3.706
O 3.999 0.290 4.291
O 3.998 -0.455 7.835
O 4.092 1.170 1.757

---

8.
10
Lattice="4.989 0.000 0.000 -2.439 4.434 0.000 -0.040 -2.794 4.659" Properties=species:S:1:pos:R:3 comment="VCoO3 (PBE+U, optimized geometry)" space_group="No. 1" m_tot_mub_per_fu=3.00 dft_energy_ev_per_cell=-70.553 pbc="T T T"
V 0.000 0.000 0.000
V 0.031 0.091 4.175
Co 2.518 -1.367 2.406
Co 2.534 1.521 1.856
O -0.779 1.541 0.819
O 0.694 -1.366 3.331
O 1.635 -0.181 0.803
O 1.025 1.524 3.289
O 1.560 3.018 0.896
O 3.319 0.324 3.246

---

9.
5
Lattice="3.776 0.000 0.000 0.000 3.776 0.000 0.000 0.000 3.776" Properties=species:S:1:pos:R:3 comment="VCoO3 (PBE+U, optimized geometry)" space_group="No. 221" m_tot_mub_per_fu=2.01 dft_energy_ev_per_cell=-33.068 pbc="T T T"
V 0.000 0.000 0.000
Co 1.888 1.888 1.888
O 0.000 0.000 1.888
O 0.000 1.888 0.000
O 1.888 0.000 0.000

---

10.
18
Lattice="5.034 -4.564 0.000 5.034 4.564 0.000 -2.022 0.000 5.497" Properties=species:S:1:pos:R:3 comment="V5CoO12 (PBE+U, optimized geometry)" space_group="No. 5" m_tot_mub_per_fu=6.00 dft_energy_ev_per_cell=-133.894 pbc="T T T"
V 0.000 0.000 0.000
V 2.977 1.607 0.072
V 1.963 -0.081 2.793
V 5.070 1.607 5.426
V 6.084 -0.081 2.704
Co 4.023 -3.004 2.749
O 3.599 3.207 0.190
O 0.370 0.051 2.100
O 3.053 0.814 1.703
O 1.978 0.670 4.407
O 4.448 3.207 5.307
O 2.506 -1.674 2.902
O 4.994 0.814 3.794
O 6.068 0.670 1.090
O 3.696 -3.104 0.551
O 5.541 -1.674 2.595
O 7.677 0.051 3.397
O 4.351 -3.104 4.946

---

11.
18
Lattice="4.810 -1.793 0.000 4.810 1.793 0.000 -3.448 0.000 13.386" Properties=species:S:1:pos:R:3 comment="V2CoO6 (PBE+U, optimized geometry)" space_group="No. 12" dft_energy_ev_per_cell=-129.696 pbc="T T T"
V 0.989 0.000 4.541
V -0.733 0.000 11.248
V 6.905 0.000 2.139
V 5.184 0.000 8.845
Co 0.000 0.000 0.000
Co -1.724 0.000 6.693
O -2.343 0.000 11.753
O -0.614 0.000 5.062
O 1.943 0.000 2.720
O 0.225 0.000 9.429
O 0.268 0.000 12.625
O 2.003 0.000 5.913
O 4.169 0.000 7.473
O 5.904 0.000 0.761
O 5.947 0.000 3.958
O 4.229 0.000 10.666
O 6.786 0.000 8.325
O 8.516 0.000 1.633

---

12.
42
Lattice="8.722 -4.611 0.000 8.722 4.611 0.000 -5.061 0.000 7.927" Properties=species:S:1:pos:R:3 comment="V5CoO15 (PBE+U, optimized geometry)" space_group="No. 5" m_tot_mub_per_fu=2.00 dft_energy_ev_per_cell=-293.634 pbc="T T T"
V -1.458 0.000 2.733
V -0.361 -0.353 6.103
V 3.396 0.055 2.868
V 6.733 -0.207 2.436
V 5.649 -0.207 5.490
V 2.702 -1.949 5.173
V 8.986 0.055 5.058
V 12.743 -0.353 1.823
V 9.680 -1.949 2.754
V 13.840 0.000 5.193
Co 5.804 -2.917 0.143
Co 6.578 -2.917 7.784
O -2.998 0.404 6.874
O 4.333 3.250 5.477
O -0.521 1.178 6.951
O 2.499 1.450 3.273
O -1.624 -0.247 4.743
O 8.049 3.250 2.450
O 3.454 0.026 1.217
O 1.178 -0.454 5.450
O 6.620 1.077 1.463
O 5.096 0.084 3.550
O -0.402 -1.743 7.147
O 2.626 -1.478 3.435
O 5.762 1.077 6.464
O 3.789 -0.708 5.705
O 7.286 0.085 4.377
O 9.883 1.450 4.654
O 6.176 -1.624 1.638
O 2.068 -2.494 7.045
O 12.904 1.178 0.975
O 8.593 -0.708 2.222
O 8.928 0.026 6.710
O 6.206 -1.624 6.289
O 3.900 -3.267 5.050
O 11.205 -0.454 2.477
O 15.380 0.404 1.053
O 9.756 -1.478 4.491
O 10.315 -2.494 0.882
O 8.482 -3.267 2.876
O 14.006 -0.247 3.183
O 12.784 -1.743 0.780

---

Q: Which formation energy values were calculated for the entries above? A: -1.625 -1.384 -2.324 -2.703 -3.146 -2.031 -2.104 -1.928 -1.486 -2.243 -2.116 -1.929, in eV/atom.